A geometry-optimized NiH14C3NCl3O2 structure, computed with PBE with a Hubbard U.

Calculated values
The calculation puts the formation energy from the elements at -0.581 eV/atom. The value obtained for the energy above the most stable polymorph in this dataset is 0 meV/atom. As for the total moment: 2.0 μB per formula unit. The value obtained for the final energy is -459.09 eV per cell.

abc: 16.912 7.221 8.288
angles: 90.00 90.00 90.00
Atoms (fractional coordinates):
Ni 0.000 0.000 0.000
Ni 0.000 0.500 0.000
Ni 0.500 0.000 0.500
Ni 0.500 0.500 0.500
H 0.016 0.098 0.307
H 0.016 0.402 0.307
H 0.041 0.073 0.699
H 0.041 0.427 0.699
H 0.129 0.750 0.750
H 0.135 0.626 0.485
H 0.135 0.874 0.485
H 0.191 0.041 0.712
H 0.191 0.459 0.712
H 0.216 0.077 0.186
H 0.216 0.423 0.186
H 0.225 0.750 0.452
H 0.233 0.587 0.877
H 0.233 0.913 0.877
H 0.267 0.087 0.377
H 0.267 0.413 0.377
H 0.275 0.250 0.952
H 0.284 0.577 0.686
H 0.284 0.923 0.686
H 0.309 0.541 0.212
H 0.309 0.959 0.212
H 0.365 0.126 0.985
H 0.365 0.374 0.985
H 0.371 0.250 0.250
H 0.459 0.573 0.199
H 0.459 0.927 0.199
H 0.484 0.598 0.807
H 0.484 0.902 0.807
H 0.516 0.098 0.193
H 0.516 0.402 0.193
H 0.541 0.073 0.801
H 0.541 0.427 0.801
H 0.629 0.750 0.750
H 0.635 0.626 0.015
H 0.635 0.874 0.015
H 0.691 0.041 0.788
H 0.691 0.459 0.788
H 0.716 0.077 0.314
H 0.716 0.423 0.314
H 0.725 0.750 0.048
H 0.733 0.587 0.623
H 0.733 0.913 0.623
H 0.767 0.087 0.123
H 0.767 0.413 0.123
H 0.775 0.250 0.548
H 0.784 0.577 0.814
H 0.784 0.923 0.814
H 0.809 0.541 0.288
H 0.809 0.959 0.288
H 0.865 0.126 0.515
H 0.865 0.374 0.515
H 0.871 0.250 0.250
H 0.959 0.573 0.301
H 0.959 0.927 0.301
H 0.984 0.598 0.693
H 0.984 0.902 0.693
C 0.168 0.750 0.516
C 0.226 0.580 0.746
C 0.226 0.920 0.746
C 0.274 0.080 0.246
C 0.274 0.420 0.246
C 0.332 0.250 0.016
C 0.668 0.750 0.984
C 0.726 0.580 0.754
C 0.726 0.920 0.754
C 0.774 0.080 0.254
C 0.774 0.420 0.254
C 0.832 0.250 0.484
N 0.184 0.750 0.693
N 0.316 0.250 0.193
N 0.684 0.750 0.807
N 0.816 0.250 0.307
Cl 0.085 0.250 0.498
Cl 0.094 0.750 0.068
Cl 0.095 0.250 0.007
Cl 0.405 0.750 0.507
Cl 0.406 0.250 0.568
Cl 0.415 0.750 0.998
Cl 0.585 0.250 0.002
Cl 0.594 0.750 0.432
Cl 0.595 0.250 0.493
Cl 0.905 0.750 0.993
Cl 0.906 0.250 0.932
Cl 0.915 0.750 0.502
O 0.027 0.541 0.757
O 0.027 0.959 0.757
O 0.473 0.041 0.257
O 0.473 0.459 0.257
O 0.527 0.541 0.743
O 0.527 0.959 0.743
O 0.973 0.041 0.243
O 0.973 0.459 0.243

=====

A geometry-optimized Li32Mn11Cr5O48 structure, computed with PBE with a Hubbard U.

Calculated values
The calculation puts the formation energy from the elements at -2.193 eV/atom. The value obtained for the energy above the most stable polymorph in this dataset is 3 meV/atom. As for the total moment: 43.0 μB per formula unit. The value obtained for the final energy is -596.85 eV per cell.

abc: 5.008 5.008 38.349
angles: 91.05 91.05 119.80
Atoms (fractional coordinates):
Li 0.000 0.000 0.000
Li 0.028 0.350 0.063
Li 0.066 0.061 0.187
Li 0.098 0.772 0.313
Li 0.124 0.125 0.375
Li 0.148 0.470 0.437
Li 0.188 0.187 0.562
Li 0.228 0.902 0.687
Li 0.254 0.252 0.750
Li 0.278 0.599 0.813
Li 0.312 0.312 0.937
Li 0.350 0.022 0.062
Li 0.376 0.374 0.125
Li 0.401 0.722 0.187
Li 0.442 0.439 0.313
Li 0.479 0.153 0.438
Li 0.501 0.499 0.500
Li 0.530 0.852 0.563
Li 0.561 0.558 0.687
Li 0.599 0.276 0.813
Li 0.626 0.624 0.875
Li 0.650 0.972 0.937
Li 0.688 0.688 0.063
Li 0.724 0.401 0.187
Li 0.748 0.746 0.250
Li 0.777 0.099 0.313
Li 0.813 0.812 0.438
Li 0.847 0.521 0.562
Li 0.875 0.876 0.625
Li 0.901 0.223 0.687
Li 0.939 0.934 0.813
Li 0.978 0.650 0.938
Mn 0.043 0.707 0.125
Mn 0.168 0.832 0.500
Mn 0.293 0.957 0.875
Mn 0.334 0.666 0.000
Mn 0.417 0.082 0.250
Mn 0.543 0.207 0.625
Mn 0.709 0.041 0.125
Mn 0.793 0.457 0.375
Mn 0.834 0.166 0.500
Mn 0.918 0.583 0.750
Mn 0.959 0.291 0.875
Cr 0.079 0.413 0.250
Cr 0.207 0.545 0.625
Cr 0.455 0.793 0.375
Cr 0.587 0.921 0.750
Cr 0.669 0.331 0.000
O 0.009 0.008 0.097
O 0.013 0.653 0.028
O 0.027 0.383 0.153
O 0.103 0.740 0.222
O 0.112 0.468 0.347
O 0.120 0.120 0.279
O 0.135 0.132 0.472
O 0.136 0.774 0.403
O 0.152 0.507 0.528
O 0.226 0.864 0.597
O 0.239 0.596 0.722
O 0.244 0.240 0.654
O 0.259 0.257 0.847
O 0.260 0.897 0.778
O 0.277 0.632 0.903
O 0.347 0.987 0.972
O 0.364 0.366 0.029
O 0.368 0.723 0.097
O 0.384 0.025 0.153
O 0.388 0.382 0.221
O 0.404 0.761 0.278
O 0.477 0.114 0.347
O 0.493 0.848 0.472
O 0.494 0.493 0.404
O 0.507 0.506 0.596
O 0.509 0.150 0.528
O 0.532 0.888 0.653
O 0.601 0.245 0.722
O 0.617 0.973 0.847
O 0.618 0.612 0.779
O 0.634 0.636 0.971
O 0.635 0.275 0.903
O 0.650 0.007 0.028
O 0.725 0.365 0.097
O 0.742 0.099 0.222
O 0.743 0.741 0.153
O 0.755 0.399 0.278
O 0.760 0.756 0.346
O 0.782 0.139 0.403
O 0.850 0.491 0.472
O 0.861 0.218 0.597
O 0.868 0.865 0.528
O 0.880 0.880 0.721
O 0.886 0.523 0.653
O 0.901 0.258 0.778
O 0.975 0.616 0.847
O 0.992 0.991 0.903
O 0.993 0.350 0.972

=====

A geometry-optimized La7SmCrFe7O20 structure, computed with PBE with a Hubbard U.

Calculated values
The calculation puts the formation energy from the elements at -2.734 eV/atom. As for the total moment: 32.0 μB per formula unit. The value obtained for the final energy is -1096.22 eV per cell.

abc: 11.045 11.749 17.841
angles: 109.16 108.00 90.11
Atoms (fractional coordinates):
La 0.000 0.000 0.000
La 0.000 0.499 0.000
La 0.002 0.001 0.498
La 0.111 0.094 0.222
La 0.111 0.595 0.223
La 0.116 0.595 0.726
La 0.249 0.731 0.499
La 0.250 0.233 0.999
La 0.250 0.734 0.001
La 0.257 0.234 0.499
La 0.360 0.861 0.721
La 0.361 0.361 0.222
La 0.363 0.862 0.225
La 0.366 0.360 0.724
La 0.500 0.000 0.000
La 0.500 0.499 0.000
La 0.504 0.498 0.497
La 0.611 0.594 0.223
La 0.612 0.096 0.224
La 0.613 0.092 0.722
La 0.616 0.595 0.724
La 0.750 0.233 0.999
La 0.750 0.733 0.499
La 0.751 0.733 0.000
La 0.861 0.361 0.724
La 0.862 0.361 0.223
La 0.862 0.861 0.223
La 0.864 0.863 0.723
Sm 0.005 0.502 0.500
Sm 0.116 0.091 0.720
Sm 0.505 0.003 0.501
Sm 0.749 0.229 0.499
Cr 0.052 0.298 0.610
Cr 0.303 0.546 0.611
Cr 0.804 0.544 0.609
Cr 0.805 0.048 0.610
Fe 0.050 0.297 0.111
Fe 0.050 0.796 0.611
Fe 0.050 0.797 0.112
Fe 0.189 0.398 0.359
Fe 0.193 0.398 0.861
Fe 0.193 0.903 0.861
Fe 0.196 0.901 0.363
Fe 0.300 0.047 0.111
Fe 0.300 0.548 0.112
Fe 0.301 0.047 0.610
Fe 0.440 0.193 0.860
Fe 0.443 0.696 0.863
Fe 0.444 0.697 0.362
Fe 0.446 0.193 0.362
Fe 0.550 0.297 0.111
Fe 0.550 0.796 0.609
Fe 0.550 0.797 0.112
Fe 0.552 0.297 0.610
Fe 0.691 0.901 0.360
Fe 0.693 0.398 0.861
Fe 0.693 0.900 0.860
Fe 0.696 0.398 0.361
Fe 0.800 0.047 0.111
Fe 0.800 0.546 0.111
Fe 0.941 0.196 0.362
Fe 0.943 0.692 0.362
Fe 0.944 0.695 0.863
Fe 0.947 0.194 0.862
O 0.094 0.419 0.756
O 0.103 0.411 0.249
O 0.103 0.912 0.749
O 0.106 0.911 0.252
O 0.135 0.225 0.361
O 0.135 0.732 0.863
O 0.136 0.729 0.361
O 0.138 0.220 0.855
O 0.165 0.407 0.585
O 0.167 0.909 0.089
O 0.168 0.408 0.089
O 0.171 0.909 0.593
O 0.190 0.186 0.134
O 0.190 0.190 0.635
O 0.190 0.682 0.631
O 0.190 0.687 0.134
O 0.193 0.521 0.464
O 0.210 0.023 0.472
O 0.214 0.023 0.972
O 0.215 0.520 0.972
O 0.345 0.073 0.750
O 0.348 0.570 0.757
O 0.355 0.574 0.252
O 0.356 0.072 0.251
O 0.383 0.364 0.360
O 0.386 0.868 0.860
O 0.387 0.366 0.862
O 0.391 0.873 0.367
O 0.417 0.414 0.089
O 0.417 0.914 0.089
O 0.419 0.416 0.590
O 0.419 0.913 0.586
O 0.439 0.181 0.133
O 0.440 0.177 0.631
O 0.440 0.677 0.633
O 0.440 0.681 0.135
O 0.462 0.183 0.472
O 0.462 0.681 0.472
O 0.464 0.183 0.971
O 0.464 0.684 0.973
O 0.600 0.909 0.749
O 0.603 0.408 0.750
O 0.604 0.912 0.249
O 0.605 0.408 0.250
O 0.633 0.226 0.860
O 0.635 0.728 0.862
O 0.636 0.728 0.361
O 0.640 0.228 0.365
O 0.667 0.406 0.088
O 0.667 0.907 0.089
O 0.668 0.912 0.587
O 0.670 0.406 0.587
O 0.689 0.182 0.628
O 0.690 0.185 0.134
O 0.690 0.685 0.134
O 0.692 0.685 0.632
O 0.693 0.024 0.465
O 0.700 0.526 0.464
O 0.714 0.021 0.971
O 0.714 0.521 0.971
O 0.846 0.071 0.756
O 0.846 0.572 0.757
O 0.853 0.571 0.251
O 0.855 0.072 0.251
O 0.884 0.865 0.361
O 0.886 0.366 0.862
O 0.886 0.867 0.861
O 0.892 0.373 0.366
O 0.915 0.409 0.581
O 0.917 0.414 0.089
O 0.918 0.914 0.090
O 0.923 0.920 0.593
O 0.938 0.172 0.465
O 0.939 0.180 0.133
O 0.940 0.680 0.134
O 0.941 0.674 0.630
O 0.945 0.181 0.636
O 0.964 0.683 0.473
O 0.966 0.684 0.973
O 0.968 0.184 0.973